# 1
Material: Mn2H2SO5
Method: DFT, GGA+U
State: optimized geometry

Structure (POSCAR):
```
Mn2H2SO5
1.0
7.621 0.000 0.000
0.000 10.423 0.000
0.000 0.000 5.813
Mn H S O
8 8 4 20
Direct
0.097 0.055 0.240
0.097 0.445 0.240
0.403 0.555 0.740
0.403 0.945 0.740
0.597 0.055 0.260
0.597 0.445 0.260
0.903 0.555 0.760
0.903 0.945 0.760
0.169 0.648 0.004
0.169 0.852 0.004
0.331 0.148 0.504
0.331 0.352 0.504
0.669 0.648 0.496
0.669 0.852 0.496
0.831 0.148 0.996
0.831 0.352 0.996
0.162 0.750 0.402
0.338 0.250 0.902
0.662 0.750 0.098
0.838 0.250 0.598
0.046 0.631 0.454
0.046 0.869 0.454
0.159 0.561 0.938
0.159 0.939 0.938
0.193 0.250 0.092
0.307 0.750 0.592
0.341 0.061 0.438
0.341 0.439 0.438
0.454 0.131 0.954
0.454 0.369 0.954
0.546 0.631 0.046
0.546 0.869 0.046
0.659 0.561 0.562
0.659 0.939 0.562
0.693 0.250 0.408
0.807 0.750 0.908
0.841 0.061 0.062
0.841 0.439 0.062
0.954 0.131 0.546
0.954 0.369 0.546
```

Summary:
MP2020-corrected energy = -7.13 eV per atom

***

# 2
Material: Mn5H8SO12
Method: DFT, GGA+U
State: optimized geometry

Structure (POSCAR):
```
Mn5H8SO12
1.0
7.725 0.000 0.000
-1.374 8.585 0.000
-2.013 -1.709 8.300
Mn H S O
10 16 2 24
Direct
0.005 0.179 0.064
0.006 0.587 0.186
0.014 0.311 0.446
0.305 0.994 0.374
0.306 0.103 0.764
0.694 0.897 0.236
0.695 0.006 0.626
0.986 0.689 0.554
0.994 0.413 0.814
0.995 0.821 0.936
0.036 0.931 0.466
0.265 0.577 0.470
0.268 0.435 0.095
0.277 0.776 0.131
0.282 0.050 0.034
0.283 0.271 0.308
0.286 0.393 0.717
0.478 0.749 0.393
0.522 0.251 0.607
0.714 0.607 0.283
0.717 0.729 0.692
0.718 0.950 0.966
0.723 0.224 0.869
0.732 0.565 0.905
0.735 0.423 0.530
0.964 0.069 0.534
0.397 0.732 0.848
0.603 0.268 0.152
0.135 0.546 0.421
0.136 0.420 0.062
0.146 0.918 0.540
0.172 0.806 0.167
0.175 0.046 0.946
0.178 0.190 0.307
0.180 0.306 0.695
0.190 0.693 0.801
0.458 0.742 0.026
0.461 0.890 0.808
0.466 0.606 0.759
0.478 0.139 0.601
0.522 0.861 0.399
0.534 0.394 0.241
0.539 0.110 0.192
0.542 0.258 0.974
0.810 0.307 0.199
0.820 0.694 0.305
0.822 0.810 0.693
0.825 0.954 0.054
0.828 0.194 0.833
0.854 0.082 0.460
0.864 0.580 0.938
0.865 0.454 0.579
```

Summary:
MP2020-corrected energy = -6.93 eV per atom

***

# 3
Material: MnH6S4O16
Method: DFT, GGA+U
State: optimized geometry

Structure (POSCAR):
```
MnH6S4O16
1.0
5.277 0.000 0.000
0.000 15.474 0.000
-2.020 0.000 8.136
Mn H S O
2 12 8 32
Direct
0.000 0.000 0.000
0.000 0.500 0.500
0.175 0.232 0.798
0.175 0.268 0.298
0.283 0.523 0.111
0.283 0.977 0.611
0.431 0.737 0.840
0.431 0.763 0.340
0.569 0.237 0.660
0.569 0.263 0.160
0.717 0.023 0.389
0.717 0.477 0.889
0.825 0.732 0.702
0.825 0.768 0.202
0.126 0.668 0.251
0.126 0.832 0.751
0.421 0.086 0.766
0.421 0.414 0.266
0.579 0.586 0.734
0.579 0.914 0.234
0.874 0.168 0.249
0.874 0.332 0.749
0.020 0.113 0.163
0.020 0.387 0.663
0.058 0.234 0.358
0.058 0.266 0.858
0.268 0.627 0.144
0.268 0.873 0.644
0.287 0.042 0.599
0.287 0.458 0.099
0.288 0.060 0.892
0.288 0.440 0.392
0.301 0.564 0.693
0.301 0.936 0.193
0.313 0.721 0.386
0.313 0.779 0.886
0.379 0.180 0.727
0.379 0.320 0.227
0.621 0.680 0.773
0.621 0.820 0.273
0.687 0.221 0.114
0.687 0.279 0.614
0.699 0.064 0.807
0.699 0.436 0.307
0.712 0.560 0.608
0.712 0.940 0.108
0.713 0.542 0.901
0.713 0.958 0.401
0.732 0.127 0.356
0.732 0.373 0.856
0.942 0.734 0.142
0.942 0.766 0.642
0.980 0.613 0.337
0.980 0.887 0.837
```

Summary:
MP2020-corrected energy = -6.30 eV per atom

***

# 4
Material: Mn5H8SO12
Method: DFT, GGA+U
State: optimized geometry

Structure (POSCAR):
```
Mn5H8SO12
1.0
7.685 0.000 0.000
-0.795 8.783 0.000
-3.286 -2.040 8.559
Mn H S O
10 16 2 24
Direct
0.005 0.404 0.310
0.007 0.665 0.029
0.051 0.247 0.631
0.299 0.063 0.226
0.314 0.956 0.882
0.686 0.044 0.118
0.701 0.937 0.774
0.949 0.753 0.369
0.993 0.335 0.971
0.995 0.596 0.690
0.063 0.905 0.968
0.213 0.150 0.608
0.285 0.758 0.656
0.286 0.429 0.600
0.296 0.358 0.236
0.362 0.069 0.785
0.403 0.579 0.938
0.469 0.640 0.928
0.531 0.360 0.072
0.597 0.421 0.062
0.638 0.931 0.215
0.704 0.642 0.764
0.714 0.571 0.400
0.715 0.242 0.344
0.787 0.850 0.392
0.937 0.095 0.032
0.388 0.732 0.407
0.612 0.268 0.593
0.060 0.028 0.825
0.083 0.509 0.903
0.085 0.193 0.831
0.147 0.421 0.564
0.168 0.854 0.021
0.178 0.284 0.199
0.185 0.660 0.377
0.185 0.789 0.692
0.381 0.876 0.348
0.446 0.101 0.078
0.466 0.612 0.330
0.486 0.771 0.580
0.514 0.229 0.420
0.534 0.388 0.670
0.554 0.899 0.922
0.619 0.124 0.652
0.815 0.211 0.308
0.815 0.340 0.623
0.822 0.716 0.801
0.832 0.146 0.979
0.853 0.579 0.436
0.915 0.807 0.169
0.917 0.491 0.097
0.940 0.972 0.175
```

Summary:
MP2020-corrected energy = -6.53 eV per atom

***

# 5
Material: Mn5H8SO12
Method: DFT, GGA+U
State: optimized geometry

Structure (POSCAR):
```
Mn5H8SO12
1.0
7.290 0.000 0.000
-2.041 8.859 0.000
-2.231 -3.507 8.887
Mn H S O
10 16 2 24
Direct
0.015 0.310 0.430
0.040 0.465 0.778
0.044 0.094 0.661
0.214 0.178 0.090
0.313 0.878 0.943
0.687 0.122 0.057
0.786 0.822 0.910
0.956 0.906 0.339
0.960 0.535 0.222
0.985 0.690 0.570
0.045 0.977 0.835
0.083 0.784 0.130
0.268 0.602 0.443
0.311 0.239 0.375
0.326 0.658 0.748
0.383 0.788 0.048
0.434 0.936 0.582
0.491 0.052 0.345
0.509 0.948 0.655
0.566 0.064 0.418
0.617 0.212 0.952
0.674 0.342 0.252
0.689 0.761 0.625
0.732 0.398 0.557
0.917 0.216 0.870
0.955 0.023 0.165
0.468 0.410 0.727
0.532 0.590 0.273
0.068 0.836 0.984
0.070 0.756 0.221
0.077 0.900 0.535
0.128 0.554 0.438
0.167 0.060 0.848
0.181 0.214 0.301
0.205 0.682 0.767
0.238 0.354 0.678
0.440 0.081 0.102
0.456 0.637 0.147
0.469 0.408 0.223
0.483 0.663 0.410
0.517 0.337 0.590
0.531 0.592 0.777
0.544 0.363 0.853
0.560 0.919 0.898
0.762 0.646 0.322
0.795 0.318 0.233
0.819 0.786 0.699
0.833 0.940 0.152
0.872 0.446 0.562
0.923 0.100 0.465
0.930 0.244 0.779
0.932 0.164 0.016
```

Summary:
MP2020-corrected energy = -6.66 eV per atom

***

# 6
Material: MnH2SO5
Method: DFT, GGA+U
State: optimized geometry

Structure (POSCAR):
```
MnH2SO5
1.0
5.906 -0.815 -3.489
-0.950 -4.919 6.161
-3.608 -5.379 -4.851
Mn H S O
4 8 4 20
Direct
0.000 0.500 0.000
0.000 0.000 0.500
0.500 0.500 0.500
0.500 0.000 0.000
0.657 0.788 0.289
0.157 0.788 0.789
0.843 0.712 0.289
0.343 0.712 0.789
0.343 0.212 0.711
0.843 0.212 0.211
0.157 0.288 0.711
0.657 0.288 0.211
0.750 0.750 0.836
0.250 0.750 0.336
0.250 0.250 0.164
0.750 0.250 0.664
0.750 0.750 0.361
0.250 0.750 0.861
0.250 0.250 0.639
0.750 0.250 0.139
0.229 0.895 0.441
0.730 0.894 0.941
0.270 0.606 0.441
0.771 0.605 0.941
0.770 0.105 0.559
0.270 0.105 0.059
0.730 0.395 0.559
0.230 0.394 0.059
0.556 0.665 0.728
0.056 0.665 0.228
0.944 0.835 0.728
0.444 0.835 0.228
0.444 0.335 0.272
0.944 0.335 0.772
0.056 0.165 0.272
0.556 0.165 0.772
```

Summary:
MP2020-corrected energy = -6.79 eV per atom

***

Sequential final energy output: -6.448, -6.288, -5.836, -5.893, -6.027, -6.218 eV/atom
Sequential E_form output: -17.27, -43.62, -44.99, -33.33, -36.82, -16.25 eV/f.u.
Sequential total moment output: 40.0, 50.0, 10.2, 42.0, 42.0, 0.0 μB per cell